This record from the Materials Project describes Cs3Cu2I5 after structural relaxation. The functional is r²SCAN.

Lattice parameters (Å, degrees): 10.2861 11.7638 14.4123 90.00 90.00 90.00
With the nearest neighbours (Å) after each atom.
Sites, in units of the cell vectors:
Cs 0.0528 0.0119 0.1759  9 I 3.91-4.37, 2 Cu 3.98-4.17
Cs 0.0528 0.4881 0.1759  9 I 3.91-4.37, 2 Cu 3.98-4.17
Cs 0.0925 0.7500 0.4509  8 I 3.78-4.03, 1 Cu 3.90
Cs 0.4075 0.2500 0.9509  8 I 3.78-4.03, 1 Cu 3.90
Cs 0.4472 0.5119 0.6759  9 I 3.91-4.37, 2 Cu 3.98-4.17
Cs 0.4472 0.9881 0.6759  9 I 3.91-4.37, 2 Cu 3.98-4.17
Cs 0.5528 0.0119 0.3241  9 I 3.91-4.37, 2 Cu 3.98-4.17
Cs 0.5528 0.4881 0.3241  9 I 3.91-4.37, 2 Cu 3.98-4.17
Cs 0.5925 0.7500 0.0491  8 I 3.78-4.03, 1 Cu 3.90
Cs 0.9075 0.2500 0.5491  8 I 3.78-4.03, 1 Cu 3.90
Cs 0.9472 0.5119 0.8241  9 I 3.91-4.37, 2 Cu 3.98-4.17
Cs 0.9472 0.9881 0.8241  9 I 3.91-4.37, 2 Cu 3.98-4.17
Cu 0.2136 0.7500 0.0437  1 Cu 2.46, 2 I 2.57-2.59
Cu 0.2392 0.7500 0.8738  1 Cu 2.46, 3 I 2.51-2.56
Cu 0.2608 0.2500 0.3738  1 Cu 2.46, 3 I 2.51-2.56
Cu 0.2864 0.2500 0.5437  1 Cu 2.46, 2 I 2.57-2.59
Cu 0.7136 0.7500 0.4563  1 Cu 2.46, 2 I 2.57-2.59
Cu 0.7392 0.7500 0.6262  1 Cu 2.46, 3 I 2.51-2.56
Cu 0.7608 0.2500 0.1262  1 Cu 2.46, 3 I 2.51-2.56
Cu 0.7864 0.2500 0.9563  1 Cu 2.46, 2 I 2.57-2.59
I 0.0342 0.2500 0.9872  1 Cu 2.59
I 0.1605 0.7500 0.7090  1 Cu 2.51
I 0.1924 0.0623 0.4496  2 Cu 2.56-2.77
I 0.1924 0.4377 0.4496  2 Cu 2.56-2.77
I 0.2043 0.2500 0.7118  1 Cu 2.57
I 0.2957 0.7500 0.2118  1 Cu 2.57
I 0.3076 0.5623 0.9496  2 Cu 2.56-2.77
I 0.3076 0.9377 0.9496  2 Cu 2.56-2.77
I 0.3395 0.2500 0.2090  1 Cu 2.51
I 0.4658 0.7500 0.4872  1 Cu 2.59
I 0.5342 0.2500 0.5128  1 Cu 2.59
I 0.6605 0.7500 0.7910  1 Cu 2.51
I 0.6924 0.0623 0.0504  2 Cu 2.56-2.77
I 0.6924 0.4377 0.0504  2 Cu 2.56-2.77
I 0.7043 0.2500 0.7882  1 Cu 2.57
I 0.7957 0.7500 0.2882  1 Cu 2.57
I 0.8076 0.5623 0.5504  2 Cu 2.56-2.77
I 0.8076 0.9377 0.5504  2 Cu 2.56-2.77
I 0.8395 0.2500 0.2910  1 Cu 2.51
I 0.9658 0.7500 0.0128  1 Cu 2.59

Calculated values
size of the total moment: 0.00 μB per formula unit
calculated volume: 1743.93 Å³/cell
electronic total energy: -23.146 eV/atom
formation enthalpy at 0 K: -1.165 eV/atom